[1]
Here is a relaxed FeF3 crystal from the Materials Project database. Energies are from PBE+U.

a = 7.437 Å, b = 7.437 Å, c = 7.623 Å
α = 90.00°, β = 90.00°, γ = 119.54°
Atoms (fractional coordinates):
Fe (0.500, 0.000, 0.500)
Fe (0.500, 0.000, 0.000)
Fe (0.000, 0.500, 0.500)
Fe (0.000, 0.500, 0.000)
Fe (0.500, 0.500, 0.500)
Fe (0.500, 0.500, 0.000)
F (0.417, 0.210, 0.956)
F (0.583, 0.790, 0.044)
F (0.583, 0.790, 0.456)
F (0.417, 0.210, 0.544)
F (0.210, 0.417, 0.044)
F (0.790, 0.583, 0.956)
F (0.790, 0.583, 0.544)
F (0.210, 0.417, 0.456)
F (0.785, 0.215, 0.452)
F (0.215, 0.785, 0.548)
F (0.215, 0.785, 0.952)
F (0.785, 0.215, 0.048)
F (0.570, 0.006, 0.750)
F (0.430, 0.994, 0.250)
F (0.006, 0.570, 0.250)
F (0.994, 0.430, 0.750)
F (0.538, 0.462, 0.250)
F (0.462, 0.538, 0.750)

[2]
Here is a relaxed FeF3 crystal from the Materials Project database. Energies are from PBE+U.

a = 9.455 Å, b = 7.536 Å, c = 5.420 Å
α = 135.39°, β = 150.72°, γ = 35.30°
Atoms (fractional coordinates):
Fe (0.000, 0.500, 0.000)
Fe (0.000, 0.000, 0.000)
F (0.500, 0.333, 0.574)
F (0.096, 0.250, 0.191)
F (0.073, 0.167, 0.574)
F (0.500, 0.667, 0.426)
F (0.904, 0.750, 0.809)
F (0.927, 0.833, 0.426)

[3]
Here is a relaxed FeF3 crystal from the Materials Project database. Energies are from PBE+U.

a = 5.233 Å, b = 5.233 Å, c = 6.985 Å
α = 90.00°, β = 90.00°, γ = 120.00°
Atoms (fractional coordinates):
Fe (0.667, 0.333, 0.340)
Fe (0.000, 0.000, 0.000)
Fe (0.333, 0.667, 0.660)
F (0.914, 0.670, 0.174)
F (0.245, 0.330, 0.826)
F (0.330, 0.245, 0.174)
F (0.610, 0.610, 0.500)
F (0.086, 0.755, 0.826)
F (0.390, 0.000, 0.500)
F (0.755, 0.086, 0.174)
F (0.000, 0.390, 0.500)
F (0.670, 0.914, 0.826)

[4]
Here is a relaxed K4Na2FeH3F12 crystal from the Materials Project database. Energies are from PBE+U.

a = 6.139 Å, b = 5.882 Å, c = 8.549 Å
α = 86.00°, β = 90.00°, γ = 90.00°
Atoms (fractional coordinates):
K (0.502, 0.952, 0.760)
K (0.994, 0.507, 0.263)
K (0.502, 0.048, 0.240)
K (0.994, 0.493, 0.737)
Na (0.008, 0.000, 0.000)
Na (0.492, 0.500, 0.500)
Fe (0.997, 0.000, 0.500)
H (0.380, 0.629, 0.127)
H (0.380, 0.371, 0.873)
H (0.753, 0.500, 0.000)
F (0.767, 0.237, 0.494)
F (0.993, 0.990, 0.731)
F (0.993, 0.010, 0.269)
F (0.224, 0.234, 0.493)
F (0.286, 0.257, 0.962)
F (0.286, 0.743, 0.038)
F (0.460, 0.528, 0.233)
F (0.460, 0.472, 0.767)
F (0.770, 0.304, 0.009)
F (0.770, 0.696, 0.991)
F (0.767, 0.763, 0.506)
F (0.224, 0.766, 0.507)

[5]
Here is a relaxed MnFeH4NF6 crystal from the Materials Project database. Energies are from PBE+U.

relative energy among the computed polymorphs	100	meV/atom

a = 8.108 Å, b = 10.828 Å, c = 13.048 Å
α = 90.00°, β = 90.00°, γ = 90.00°
Atoms (fractional coordinates):
Mn (0.720, 0.321, 0.621)
Mn (0.280, 0.679, 0.621)
Mn (0.220, 0.679, 0.121)
Mn (0.780, 0.321, 0.121)
Mn (0.756, 0.814, 0.880)
Mn (0.244, 0.186, 0.880)
Mn (0.256, 0.186, 0.380)
Mn (0.744, 0.814, 0.380)
Fe (0.245, 0.322, 0.598)
Fe (0.755, 0.678, 0.598)
Fe (0.745, 0.678, 0.098)
Fe (0.255, 0.322, 0.098)
Fe (0.254, 0.832, 0.888)
Fe (0.746, 0.168, 0.888)
Fe (0.754, 0.168, 0.388)
Fe (0.246, 0.832, 0.388)
H (0.402, 0.642, 0.984)
H (0.598, 0.358, 0.984)
H (0.902, 0.358, 0.484)
H (0.098, 0.642, 0.484)
H (0.569, 0.555, 0.834)
H (0.431, 0.445, 0.834)
H (0.069, 0.445, 0.334)
H (0.931, 0.555, 0.334)
H (0.409, 0.537, 0.370)
H (0.591, 0.463, 0.370)
H (0.909, 0.463, 0.870)
H (0.091, 0.537, 0.870)
H (0.447, 0.432, 0.279)
H (0.553, 0.568, 0.279)
H (0.947, 0.568, 0.779)
H (0.053, 0.432, 0.779)
H (0.419, 0.051, 0.585)
H (0.581, 0.949, 0.585)
H (0.919, 0.949, 0.085)
H (0.081, 0.051, 0.085)
H (0.434, 0.941, 0.676)
H (0.566, 0.059, 0.676)
H (0.934, 0.059, 0.176)
H (0.066, 0.941, 0.176)
H (0.418, 0.050, 0.112)
H (0.582, 0.950, 0.112)
H (0.918, 0.950, 0.612)
H (0.082, 0.050, 0.612)
H (0.435, 0.939, 0.203)
H (0.565, 0.061, 0.203)
H (0.935, 0.061, 0.703)
H (0.065, 0.939, 0.703)
N (0.500, 0.500, 0.785)
N (0.000, 0.500, 0.285)
N (0.500, 0.500, 0.324)
N (0.000, 0.500, 0.824)
N (0.500, 0.000, 0.630)
N (0.000, 0.000, 0.130)
N (0.500, 0.000, 0.158)
N (0.000, 0.000, 0.658)
F (0.228, 0.496, 0.643)
F (0.772, 0.504, 0.643)
F (0.728, 0.504, 0.143)
F (0.272, 0.496, 0.143)
F (0.220, 0.361, 0.952)
F (0.780, 0.639, 0.952)
F (0.720, 0.639, 0.452)
F (0.280, 0.361, 0.452)
F (0.272, 0.854, 0.035)
F (0.728, 0.146, 0.035)
F (0.772, 0.146, 0.535)
F (0.228, 0.854, 0.535)
F (0.204, 0.778, 0.747)
F (0.796, 0.222, 0.747)
F (0.704, 0.222, 0.247)
F (0.296, 0.778, 0.247)
F (0.478, 0.282, 0.624)
F (0.522, 0.718, 0.624)
F (0.978, 0.718, 0.124)
F (0.022, 0.282, 0.124)
F (0.489, 0.805, 0.864)
F (0.511, 0.195, 0.864)
F (0.989, 0.195, 0.364)
F (0.011, 0.805, 0.364)
F (0.273, 0.999, 0.835)
F (0.727, 0.001, 0.835)
F (0.773, 0.001, 0.335)
F (0.227, 0.999, 0.335)
F (0.741, 0.353, 0.934)
F (0.259, 0.647, 0.934)
F (0.241, 0.647, 0.434)
F (0.759, 0.353, 0.434)
F (0.724, 0.858, 0.045)
F (0.276, 0.142, 0.045)
F (0.224, 0.142, 0.545)
F (0.776, 0.858, 0.545)
F (0.827, 0.729, 0.737)
F (0.173, 0.271, 0.737)
F (0.327, 0.271, 0.237)
F (0.673, 0.729, 0.237)
F (0.981, 0.351, 0.547)
F (0.019, 0.649, 0.547)
F (0.481, 0.649, 0.047)
F (0.519, 0.351, 0.047)
F (0.017, 0.847, 0.904)
F (0.983, 0.153, 0.904)
F (0.517, 0.153, 0.404)
F (0.483, 0.847, 0.404)

[6]
Here is a relaxed MnFeH4NF6 crystal from the Materials Project database. Energies are from PBE+U.

relative energy among the computed polymorphs	0	meV/atom

a = 10.817 Å, b = 7.989 Å, c = 13.095 Å
α = 90.00°, β = 90.00°, γ = 90.00°
Atoms (fractional coordinates):
Mn (0.322, 0.750, 0.603)
Mn (0.678, 0.250, 0.603)
Mn (0.678, 0.250, 0.103)
Mn (0.322, 0.750, 0.103)
Mn (0.821, 0.746, 0.887)
Mn (0.179, 0.254, 0.887)
Mn (0.179, 0.246, 0.387)
Mn (0.821, 0.754, 0.387)
Fe (0.324, 0.250, 0.604)
Fe (0.676, 0.750, 0.604)
Fe (0.676, 0.750, 0.104)
Fe (0.324, 0.250, 0.104)
Fe (0.822, 0.249, 0.886)
Fe (0.178, 0.751, 0.886)
Fe (0.178, 0.749, 0.386)
Fe (0.822, 0.251, 0.386)
H (0.559, 0.429, 0.887)
H (0.441, 0.571, 0.887)
H (0.441, 0.929, 0.387)
H (0.559, 0.071, 0.387)
H (0.550, 0.578, 0.795)
H (0.450, 0.422, 0.795)
H (0.450, 0.078, 0.295)
H (0.550, 0.922, 0.295)
H (0.543, 0.411, 0.376)
H (0.457, 0.589, 0.376)
H (0.457, 0.911, 0.876)
H (0.543, 0.089, 0.876)
H (0.434, 0.444, 0.285)
H (0.566, 0.556, 0.285)
H (0.566, 0.944, 0.785)
H (0.434, 0.056, 0.785)
H (0.058, 0.428, 0.586)
H (0.942, 0.572, 0.586)
H (0.942, 0.928, 0.086)
H (0.058, 0.072, 0.086)
H (0.948, 0.422, 0.676)
H (0.052, 0.578, 0.676)
H (0.052, 0.922, 0.176)
H (0.948, 0.078, 0.176)
H (0.054, 0.423, 0.122)
H (0.946, 0.577, 0.122)
H (0.946, 0.923, 0.622)
H (0.054, 0.077, 0.622)
H (0.943, 0.429, 0.213)
H (0.057, 0.571, 0.213)
H (0.057, 0.929, 0.713)
H (0.943, 0.071, 0.713)
N (0.500, 0.500, 0.842)
N (0.500, 0.000, 0.342)
N (0.500, 0.500, 0.330)
N (0.500, 0.000, 0.830)
N (0.000, 0.500, 0.630)
N (0.000, 0.000, 0.130)
N (0.000, 0.500, 0.168)
N (0.000, 0.000, 0.668)
F (0.493, 0.283, 0.656)
F (0.507, 0.717, 0.656)
F (0.507, 0.783, 0.156)
F (0.493, 0.217, 0.156)
F (0.361, 0.228, 0.959)
F (0.639, 0.772, 0.959)
F (0.639, 0.728, 0.459)
F (0.361, 0.272, 0.459)
F (0.859, 0.273, 0.031)
F (0.141, 0.727, 0.031)
F (0.141, 0.773, 0.531)
F (0.859, 0.227, 0.531)
F (0.771, 0.210, 0.744)
F (0.229, 0.790, 0.744)
F (0.229, 0.710, 0.244)
F (0.771, 0.290, 0.244)
F (0.291, 0.488, 0.618)
F (0.709, 0.512, 0.618)
F (0.709, 0.988, 0.118)
F (0.291, 0.012, 0.118)
F (0.793, 0.486, 0.868)
F (0.207, 0.514, 0.868)
F (0.207, 0.986, 0.368)
F (0.793, 0.014, 0.368)
F (0.993, 0.279, 0.838)
F (0.007, 0.721, 0.838)
F (0.007, 0.779, 0.338)
F (0.993, 0.221, 0.338)
F (0.355, 0.767, 0.936)
F (0.645, 0.233, 0.936)
F (0.645, 0.267, 0.436)
F (0.355, 0.733, 0.436)
F (0.852, 0.722, 0.054)
F (0.148, 0.278, 0.054)
F (0.148, 0.222, 0.554)
F (0.852, 0.778, 0.554)
F (0.730, 0.784, 0.745)
F (0.270, 0.216, 0.745)
F (0.270, 0.284, 0.245)
F (0.730, 0.716, 0.245)
F (0.354, 0.011, 0.596)
F (0.646, 0.989, 0.596)
F (0.646, 0.511, 0.096)
F (0.354, 0.489, 0.096)
F (0.850, 0.009, 0.896)
F (0.150, 0.991, 0.896)
F (0.150, 0.509, 0.396)
F (0.850, 0.491, 0.396)

[7]
Here is a relaxed Fe2H4NF6 crystal from the Materials Project database. Energies are from PBE+U.

a = 7.267 Å, b = 7.573 Å, c = 10.160 Å
α = 90.00°, β = 90.00°, γ = 90.00°
Atoms (fractional coordinates):
Fe (0.000, 0.000, 0.000)
Fe (0.500, 0.000, 0.500)
Fe (0.000, 0.500, 0.000)
Fe (0.500, 0.500, 0.500)
Fe (0.209, 0.250, 0.267)
Fe (0.791, 0.750, 0.733)
Fe (0.291, 0.750, 0.767)
Fe (0.709, 0.250, 0.233)
H (0.142, 0.250, 0.627)
H (0.858, 0.750, 0.373)
H (0.358, 0.750, 0.127)
H (0.642, 0.250, 0.873)
H (0.052, 0.639, 0.336)
H (0.948, 0.361, 0.664)
H (0.448, 0.361, 0.836)
H (0.948, 0.139, 0.664)
H (0.552, 0.639, 0.164)
H (0.052, 0.861, 0.336)
H (0.552, 0.861, 0.164)
H (0.448, 0.139, 0.836)
H (0.467, 0.250, 0.982)
H (0.533, 0.750, 0.018)
H (0.033, 0.750, 0.482)
H (0.967, 0.250, 0.518)
N (0.001, 0.250, 0.618)
N (0.999, 0.750, 0.382)
N (0.499, 0.750, 0.118)
N (0.501, 0.250, 0.882)
F (0.440, 0.250, 0.155)
F (0.560, 0.750, 0.845)
F (0.060, 0.750, 0.655)
F (0.940, 0.250, 0.345)
F (0.268, 0.062, 0.416)
F (0.732, 0.938, 0.584)
F (0.232, 0.938, 0.916)
F (0.732, 0.562, 0.584)
F (0.768, 0.062, 0.084)
F (0.268, 0.438, 0.416)
F (0.768, 0.438, 0.084)
F (0.232, 0.562, 0.916)
F (0.561, 0.250, 0.536)
F (0.439, 0.750, 0.464)
F (0.939, 0.750, 0.036)
F (0.061, 0.250, 0.964)
F (0.128, 0.489, 0.169)
F (0.872, 0.511, 0.831)
F (0.372, 0.511, 0.669)
F (0.872, 0.989, 0.831)
F (0.628, 0.489, 0.331)
F (0.128, 0.011, 0.169)
F (0.628, 0.011, 0.331)
F (0.372, 0.989, 0.669)

[8]
Here is a relaxed FeH8N2F5 crystal from the Materials Project database. Energies are from PBE+U.

a = 6.921 Å, b = 7.788 Å, c = 11.691 Å
α = 90.00°, β = 90.00°, γ = 90.00°
Atoms (fractional coordinates):
Fe (0.500, 0.000, 0.500)
Fe (0.000, 0.500, 0.000)
Fe (0.500, 0.500, 0.500)
Fe (0.000, 0.000, 0.000)
H (0.896, 0.514, 0.607)
H (0.396, 0.986, 0.893)
H (0.104, 0.014, 0.393)
H (0.604, 0.486, 0.107)
H (0.104, 0.486, 0.393)
H (0.604, 0.014, 0.107)
H (0.896, 0.986, 0.607)
H (0.396, 0.514, 0.893)
H (0.155, 0.250, 0.599)
H (0.655, 0.250, 0.901)
H (0.845, 0.750, 0.401)
H (0.345, 0.750, 0.099)
H (0.163, 0.250, 0.818)
H (0.663, 0.250, 0.682)
H (0.837, 0.750, 0.182)
H (0.337, 0.750, 0.318)
H (0.016, 0.439, 0.628)
H (0.516, 0.061, 0.872)
H (0.984, 0.939, 0.372)
H (0.484, 0.561, 0.128)
H (0.984, 0.561, 0.372)
H (0.484, 0.939, 0.128)
H (0.016, 0.061, 0.628)
H (0.516, 0.439, 0.872)
H (0.979, 0.250, 0.711)
H (0.479, 0.250, 0.789)
H (0.021, 0.750, 0.289)
H (0.521, 0.750, 0.211)
H (0.902, 0.250, 0.565)
H (0.402, 0.250, 0.935)
H (0.098, 0.750, 0.435)
H (0.598, 0.750, 0.065)
N (0.921, 0.250, 0.288)
N (0.421, 0.250, 0.212)
N (0.079, 0.750, 0.712)
N (0.579, 0.750, 0.788)
N (0.012, 0.250, 0.624)
N (0.512, 0.250, 0.876)
N (0.988, 0.750, 0.376)
N (0.488, 0.750, 0.124)
F (0.599, 0.250, 0.486)
F (0.099, 0.250, 0.014)
F (0.401, 0.750, 0.514)
F (0.901, 0.750, 0.986)
F (0.740, 0.074, 0.071)
F (0.240, 0.426, 0.429)
F (0.260, 0.574, 0.929)
F (0.760, 0.926, 0.571)
F (0.260, 0.926, 0.929)
F (0.760, 0.574, 0.571)
F (0.740, 0.426, 0.071)
F (0.240, 0.074, 0.429)
F (0.604, 0.560, 0.358)
F (0.104, 0.940, 0.142)
F (0.396, 0.060, 0.642)
F (0.896, 0.440, 0.858)
F (0.396, 0.440, 0.642)
F (0.896, 0.060, 0.858)
F (0.604, 0.940, 0.358)
F (0.104, 0.560, 0.142)

Number 1: energy of formation from the pure elements -2.6363 eV/atom, E (MP2020) -6.1898 eV/atom. Number 2: energy of formation from the pure elements -2.6284 eV/atom, E (MP2020) -6.1818 eV/atom. Number 3: energy of formation from the pure elements -2.5983 eV/atom, E (MP2020) -6.1517 eV/atom. Number 4: energy of formation from the pure elements -2.6717 eV/atom, E (MP2020) -4.8858 eV/atom. Number 5: energy of formation from the pure elements -1.8653 eV/atom, E (MP2020) -5.7904 eV/atom. Number 6: energy of formation from the pure elements -1.9656 eV/atom, E (MP2020) -5.8907 eV/atom. Number 7: energy of formation from the pure elements -1.8800 eV/atom, E (MP2020) -5.7520 eV/atom. Number 8: energy of formation from the pure elements -0.4382 eV/atom, E (MP2020) -4.3043 eV/atom.